w) Entry from the Materials Project database: a relaxed LiCuPO4 crystal (PBE).

a = 5.7737 Å, b = 6.1163 Å, c = 9.2342 Å
α = 76.40°, β = 79.37°, γ = 78.10°
Atoms (fractional coordinates):
Li 0.6661 0.3653 0.8912
Li 0.1732 0.4726 0.7568
Li 0.8268 0.5274 0.2432
Li 0.3339 0.6347 0.1088
Cu 0.3062 0.9433 0.7782
Cu 0.7780 0.1560 0.5891
Cu 0.2220 0.8440 0.4109
Cu 0.6938 0.0567 0.2218
P 0.8152 0.8348 0.9137
P 0.6771 0.7048 0.5401
P 0.3229 0.2952 0.4599
P 0.1848 0.1652 0.0863
O 0.6356 0.6920 0.8927
O 0.0802 0.7142 0.8740
O 0.2273 0.1511 0.9176
O 0.7803 0.0806 0.8151
O 0.8499 0.8461 0.5714
O 0.4084 0.7730 0.6115
O 0.7745 0.4570 0.6119
O 0.3291 0.2574 0.6307
O 0.6709 0.7426 0.3693
O 0.2255 0.5430 0.3881
O 0.5916 0.2270 0.3885
O 0.1501 0.1539 0.4286
O 0.2197 0.9194 0.1849
O 0.7727 0.8489 0.0824
O 0.9198 0.2858 0.1260
O 0.3644 0.3080 0.1073

---

x) Entry from the Materials Project database: a relaxed LiCuPO4 crystal (PBE).

a = 4.9542 Å, b = 6.0913 Å, c = 10.9719 Å
α = 90.00°, β = 90.00°, γ = 90.00°
Atoms (fractional coordinates):
Li 0.9918 0.7254 0.5701
Li 0.4918 0.2254 0.9299
Li 0.9918 0.7746 0.0701
Li 0.4918 0.2746 0.4299
Cu 0.4855 0.9736 0.6726
Cu 0.9855 0.4736 0.8274
Cu 0.4855 0.5264 0.1726
Cu 0.9855 0.0264 0.3274
P 0.9971 0.2309 0.5859
P 0.4971 0.7309 0.9141
P 0.9971 0.2691 0.0859
P 0.4971 0.7691 0.4141
O 0.3940 0.7484 0.5478
O 0.3098 0.2178 0.5876
O 0.9083 0.4430 0.6535
O 0.8846 0.0194 0.6474
O 0.3846 0.5194 0.8526
O 0.4083 0.9430 0.8465
O 0.8098 0.7178 0.9124
O 0.8940 0.2484 0.9522
O 0.3940 0.7516 0.0478
O 0.3098 0.2822 0.0876
O 0.9083 0.0570 0.1535
O 0.8846 0.4806 0.1474
O 0.3846 0.9806 0.3526
O 0.4083 0.5569 0.3465
O 0.8098 0.7822 0.4124
O 0.8940 0.2516 0.4522

---

Stability verdict: w), ahead by 1.0 kJ/mol of atoms

---

w) Entry from the Materials Project database: a relaxed LiCuPO4 crystal (PBE).

a = 4.9040 Å, b = 4.9040 Å, c = 6.2737 Å
α = 90.00°, β = 90.00°, γ = 110.44°
Atoms (fractional coordinates):
Li 0.6743 0.3257 0.7500
Li 0.3257 0.6743 0.2500
Cu 0.0000 0.0000 0.0000
Cu 0.0000 0.0000 0.5000
P 0.6525 0.3475 0.2500
P 0.3475 0.6525 0.7500
O 0.7596 0.2404 0.0465
O 0.7596 0.2404 0.4535
O 0.3105 0.2426 0.2500
O 0.2426 0.3105 0.7500
O 0.7574 0.6895 0.2500
O 0.6895 0.7574 0.7500
O 0.2404 0.7596 0.9535
O 0.2404 0.7596 0.5465

---

x) Entry from the Materials Project database: a relaxed LiCuPO4 crystal (PBE).

a = 5.0595 Å, b = 6.8358 Å, c = 10.1121 Å
α = 90.00°, β = 90.00°, γ = 90.00°
Atoms (fractional coordinates):
Li 0.2424 0.0120 0.6471
Li 0.7424 0.5120 0.8529
Li 0.2424 0.4880 0.1471
Li 0.7424 0.9880 0.3529
Cu 0.2481 0.5094 0.6670
Cu 0.7481 0.0094 0.8330
Cu 0.2481 0.9906 0.1670
Cu 0.7481 0.4906 0.3330
P 0.7509 0.2669 0.5944
P 0.2509 0.7669 0.9056
P 0.7509 0.2331 0.0944
P 0.2509 0.7331 0.4056
O 0.1948 0.7434 0.5569
O 0.0524 0.2647 0.6235
O 0.6239 0.0785 0.6533
O 0.6335 0.4523 0.6607
O 0.1335 0.9523 0.8393
O 0.1239 0.5785 0.8467
O 0.5524 0.7647 0.8765
O 0.6948 0.2434 0.9431
O 0.1948 0.7566 0.0569
O 0.0524 0.2353 0.1235
O 0.6239 0.4215 0.1533
O 0.6335 0.0477 0.1607
O 0.1335 0.5477 0.3393
O 0.1239 0.9215 0.3467
O 0.5524 0.7353 0.3765
O 0.6948 0.2566 0.4431

---

y) Entry from the Materials Project database: a relaxed LiCuPO4 crystal (PBE).

a = 5.0941 Å, b = 7.9888 Å, c = 8.5826 Å
α = 82.25°, β = 90.00°, γ = 90.00°
Atoms (fractional coordinates):
Li 0.4403 0.9616 0.9182
Li 0.5290 0.4490 0.6908
Li 0.0290 0.5510 0.3092
Li 0.9403 0.0384 0.0818
Cu 0.0200 0.8187 0.5913
Cu 0.4422 0.5915 0.0915
Cu 0.9422 0.4085 0.9085
Cu 0.5200 0.1813 0.4087
P 0.5338 0.7840 0.3964
P 0.9414 0.7255 0.9576
P 0.4414 0.2745 0.0424
P 0.0338 0.2160 0.6036
O 0.5393 0.9712 0.3205
O 0.3826 0.7591 0.5555
O 0.2324 0.7736 0.9738
O 0.7623 0.8655 0.9951
O 0.8189 0.7134 0.4291
O 0.8879 0.6644 0.7949
O 0.3879 0.6735 0.2881
O 0.8899 0.5593 0.0796
O 0.3899 0.4407 0.9204
O 0.8879 0.3265 0.7119
O 0.3879 0.3356 0.2051
O 0.3189 0.2866 0.5709
O 0.2623 0.1345 0.0049
O 0.7324 0.2264 0.0262
O 0.8826 0.2409 0.4445
O 0.0393 0.0288 0.6795

---

Stability verdict: x), ahead by 1.2 kJ/mol of atoms

---

w) Entry from the Materials Project database: a relaxed TiP2O7 crystal (PBE).

a = 8.6930 Å, b = 6.9002 Å, c = 9.6265 Å
α = 74.11°, β = 90.00°, γ = 90.00°
Atoms (fractional coordinates):
Ti 0.0777 0.7012 0.2002
Ti 0.4223 0.7012 0.7002
Ti 0.5777 0.2988 0.2998
Ti 0.9223 0.2988 0.7998
P 0.7171 0.5263 0.5369
P 0.2491 0.1064 0.2324
P 0.7491 0.8936 0.2676
P 0.2509 0.1064 0.7324
P 0.7829 0.5263 0.0369
P 0.7509 0.8936 0.7676
P 0.2171 0.4737 0.9631
P 0.2829 0.4737 0.4631
O 0.1282 0.5326 0.3789
O 0.2373 0.2594 0.0697
O 0.2721 0.8993 0.6975
O 0.0770 0.1234 0.7715
O 0.8718 0.4674 0.6211
O 0.7627 0.7406 0.9303
O 0.1912 0.6297 0.0480
O 0.9108 0.5374 0.1424
O 0.5770 0.8766 0.7285
O 0.6912 0.3703 0.4520
O 0.3718 0.5326 0.8789
O 0.8627 0.8474 0.6674
O 0.6282 0.4674 0.1211
O 0.7279 0.1007 0.3025
O 0.4108 0.4626 0.3576
O 0.8088 0.3703 0.9520
O 0.9230 0.8766 0.2285
O 0.2279 0.8993 0.1975
O 0.1373 0.1526 0.3326
O 0.5892 0.5374 0.6424
O 0.2627 0.2594 0.5697
O 0.3088 0.6297 0.5480
O 0.0892 0.4626 0.8576
O 0.4230 0.1234 0.2715
O 0.7373 0.7406 0.4303
O 0.6373 0.8474 0.1674
O 0.7721 0.1007 0.8025
O 0.3627 0.1526 0.8326

---

x) Entry from the Materials Project database: a relaxed TiP2O7 crystal (PBE).

a = 5.2031 Å, b = 8.8061 Å, c = 13.2694 Å
α = 63.56°, β = 90.00°, γ = 90.00°
Atoms (fractional coordinates):
Ti 0.2600 0.7267 0.5369
Ti 0.7600 0.2733 0.9631
Ti 0.2400 0.7267 0.0369
Ti 0.7400 0.2733 0.4631
P 0.7441 0.8416 0.6398
P 0.2722 0.3150 0.1135
P 0.2441 0.1584 0.8602
P 0.2278 0.3150 0.6135
P 0.7722 0.6850 0.3865
P 0.7559 0.8416 0.1398
P 0.7278 0.6850 0.8865
P 0.2559 0.1584 0.3602
O 0.4815 0.7607 0.6434
O 0.9637 0.7409 0.6215
O 0.7668 0.5185 0.8777
O 0.5454 0.2981 0.0788
O 0.2208 0.1646 0.2380
O 0.0726 0.2843 0.0412
O 0.2445 0.9718 0.4427
O 0.2668 0.4815 0.6223
O 0.4637 0.2591 0.8785
O 0.9815 0.2393 0.8566
O 0.7445 0.0282 0.0573
O 0.9546 0.2981 0.5788
O 0.5726 0.7157 0.4588
O 0.7208 0.8354 0.2620
O 0.2792 0.1646 0.7380
O 0.4274 0.2843 0.5412
O 0.0454 0.7019 0.4212
O 0.2555 0.9718 0.9427
O 0.0185 0.7607 0.1434
O 0.5363 0.7409 0.1215
O 0.7332 0.5185 0.3777
O 0.7555 0.0282 0.5573
O 0.9274 0.7157 0.9588
O 0.7792 0.8354 0.7620
O 0.4546 0.7019 0.9212
O 0.2332 0.4815 0.1223
O 0.0363 0.2591 0.3785
O 0.5185 0.2393 0.3566

---

Stability verdict: x), ahead by 12.3 kJ/mol of atoms

---

w) Entry from the Materials Project database: a relaxed CaB2H2 crystal (PBE).

a = 17.5467 Å, b = 3.2704 Å, c = 3.7439 Å
α = 90.00°, β = 90.00°, γ = 90.00°
Atoms (fractional coordinates):
Ca 0.6245 0.2500 0.2544
Ca 0.1245 0.2500 0.2456
Ca 0.3755 0.7500 0.7456
Ca 0.8755 0.7500 0.7544
B 0.5018 0.2500 0.8924
B 0.0018 0.2500 0.6076
B 0.4982 0.7500 0.1076
B 0.9982 0.7500 0.3924
B 0.2478 0.2500 0.7194
B 0.7478 0.2500 0.7806
B 0.7522 0.7500 0.2806
B 0.2522 0.7500 0.2194
H 0.5654 0.2500 0.7417
H 0.0654 0.2500 0.7583
H 0.4346 0.7500 0.2583
H 0.9346 0.7500 0.2417
H 0.4584 0.2500 0.6312
H 0.9584 0.2500 0.8688
H 0.5416 0.7500 0.3688
H 0.0416 0.7500 0.1312

---

x) Entry from the Materials Project database: a relaxed CaB2H2 crystal (PBE).

a = 17.1696 Å, b = 3.2727 Å, c = 3.5328 Å
α = 90.00°, β = 90.00°, γ = 90.00°
Atoms (fractional coordinates):
Ca 0.6137 0.2500 0.4216
Ca 0.1137 0.2500 0.0784
Ca 0.3863 0.7500 0.5784
Ca 0.8863 0.7500 0.9216
B 0.4893 0.2500 0.9400
B 0.9893 0.2500 0.5600
B 0.5107 0.7500 0.0600
B 0.0107 0.7500 0.4400
B 0.2577 0.2500 0.3727
B 0.7577 0.2500 0.1273
B 0.7423 0.7500 0.6273
B 0.2423 0.7500 0.8727
H 0.8283 0.2500 0.1978
H 0.3283 0.2500 0.3022
H 0.1717 0.7500 0.8022
H 0.6717 0.7500 0.6978
H 0.4634 0.2500 0.6173
H 0.9634 0.2500 0.8827
H 0.5366 0.7500 0.3827
H 0.0366 0.7500 0.1173

---

Stability verdict: x), ahead by 16.1 kJ/mol of atoms

---

w) Entry from the Materials Project database: a relaxed MgH10SO9 crystal (PBE).

a = 6.1193 Å, b = 6.3237 Å, c = 10.6412 Å
α = 76.01°, β = 81.52°, γ = 70.00°
Atoms (fractional coordinates):
Mg 0.0000 0.0000 0.0000
Mg 0.0000 0.5000 0.5000
H 0.7235 0.5734 0.2016
H 0.2765 0.4266 0.7984
H 0.7273 0.3939 0.1223
H 0.2727 0.6061 0.8777
H 0.9081 0.1907 0.3896
H 0.0919 0.8093 0.6104
H 0.3605 0.6728 0.3778
H 0.6395 0.3272 0.6222
H 0.4444 0.3979 0.3925
H 0.5556 0.6021 0.6075
H 0.3498 0.6459 0.1296
H 0.6502 0.3541 0.8704
H 0.0993 0.6632 0.2042
H 0.9007 0.3368 0.7958
H 0.2331 0.2788 0.0124
H 0.7669 0.7212 0.9876
H 0.2654 0.0948 0.1466
H 0.7346 0.9052 0.8534
H 0.8166 0.8612 0.6287
H 0.1834 0.1388 0.3713
S 0.3402 0.0292 0.7133
S 0.6598 0.9708 0.2867
O 0.3413 0.4426 0.8732
O 0.6587 0.5574 0.1268
O 0.3131 0.5335 0.4095
O 0.6869 0.4665 0.5905
O 0.1800 0.6962 0.1185
O 0.8200 0.3038 0.8815
O 0.1587 0.1773 0.0768
O 0.8413 0.8227 0.9232
O 0.4208 0.9509 0.2933
O 0.5792 0.0491 0.7067
O 0.6599 0.1273 0.3706
O 0.3401 0.8727 0.6294
O 0.8267 0.7342 0.3300
O 0.1733 0.2658 0.6700
O 0.7284 0.0622 0.1495
O 0.2716 0.9378 0.8505
O 0.9642 0.7547 0.5981
O 0.0358 0.2453 0.4019

---

x) Entry from the Materials Project database: a relaxed MgH10SO9 crystal (PBE).

a = 6.2593 Å, b = 6.4329 Å, c = 10.5236 Å
α = 73.23°, β = 85.81°, γ = 75.78°
Atoms (fractional coordinates):
Mg 0.0000 0.0000 0.0000
Mg 0.0000 0.0000 0.5000
H 0.3171 0.2211 0.2155
H 0.6829 0.7789 0.7845
H 0.3040 0.4760 0.1427
H 0.6960 0.5240 0.8573
H 0.0004 0.3934 0.3412
H 0.9996 0.6066 0.6588
H 0.6952 0.8115 0.3954
H 0.3048 0.1885 0.6046
H 0.9525 0.7162 0.3983
H 0.0475 0.2838 0.6017
H 0.6513 0.2325 0.1205
H 0.3487 0.7675 0.8795
H 0.8625 0.2094 0.2010
H 0.1375 0.7906 0.7990
H 0.7697 0.7044 0.0014
H 0.2303 0.2956 0.9986
H 0.7270 0.7439 0.1433
H 0.2730 0.2561 0.8567
H 0.2564 0.5748 0.6542
H 0.7436 0.4252 0.3458
S 0.6870 0.2391 0.7147
S 0.3130 0.7609 0.2853
O 0.6395 0.6758 0.8658
O 0.3605 0.3242 0.1342
O 0.8329 0.8286 0.4258
O 0.1671 0.1714 0.5742
O 0.8139 0.1785 0.1229
O 0.1861 0.8215 0.8771
O 0.8376 0.7416 0.0718
O 0.1624 0.2584 0.9282
O 0.5582 0.6815 0.2978
O 0.4418 0.3185 0.7022
O 0.2051 0.5773 0.3555
O 0.7949 0.4227 0.6445
O 0.2422 0.9518 0.3465
O 0.7578 0.0482 0.6535
O 0.2565 0.8369 0.1420
O 0.7435 0.1631 0.8580
O 0.1153 0.6905 0.6476
O 0.8847 0.3095 0.3524

---

Stability verdict: w), ahead by 1.5 kJ/mol of atoms